{"formula": "Li2CoC2O6", "functional": "GGA+U", "state": "optimized geometry", "e_above_lowest_polymorph_ev_per_atom": 0.025, "mass_density_g_cm3": 2.622, "total_energy_ev_per_fu": -74.63, "magnetic_moment_mub_per_fu": 3.00, "lattice": [[3.898, -4.478, -2.626], [4.810, 0.501, 6.284], [-3.526, -8.476, 3.376]], "species": ["Li", "Li", "Li", "Li", "Li", "Li", "Li", "Li", "Co", "Co", "Co", "Co", "C", "C", "C", "C", "C", "C", "C", "C", "O", "O", "O", "O", "O", "O", "O", "O", "O", "O", "O", "O", "O", "O", "O", "O", "O", "O", "O", "O", "O", "O", "O", "O"], "frac_coords": [[0.586, 0.080, 0.179], [0.086, 0.081, 0.679], [0.837, 0.418, 0.429], [0.337, 0.418, 0.929], [0.044, 0.911, 0.389], [0.544, 0.911, 0.889], [0.795, 0.587, 0.139], [0.295, 0.587, 0.639], [0.764, 0.495, 0.753], [0.014, 0.003, 0.003], [0.263, 0.495, 0.253], [0.514, 0.003, 0.503], [0.508, 0.742, 0.362], [0.008, 0.742, 0.862], [0.258, 0.756, 0.113], [0.758, 0.756, 0.613], [0.239, 0.230, 0.393], [0.739, 0.230, 0.893], [0.989, 0.269, 0.143], [0.489, 0.269, 0.643], [0.400, 0.751, 0.493], [0.900, 0.750, 0.993], [0.149, 0.748, 0.243], [0.649, 0.748, 0.743], [0.591, 0.882, 0.305], [0.091, 0.882, 0.805], [0.340, 0.617, 0.055], [0.840, 0.617, 0.555], [0.214, 0.088, 0.463], [0.714, 0.088, 0.963], [0.964, 0.410, 0.213], [0.465, 0.410, 0.713], [0.538, 0.601, 0.294], [0.038, 0.601, 0.794], [0.288, 0.898, 0.045], [0.788, 0.898, 0.545], [0.143, 0.366, 0.447], [0.643, 0.366, 0.947], [0.893, 0.132, 0.197], [0.393, 0.132, 0.697], [0.357, 0.238, 0.266], [0.857, 0.238, 0.766], [0.108, 0.260, 0.016], [0.608, 0.260, 0.516]]}

---

{"formula": "Li2CoC2O6", "functional": "GGA+U", "state": "optimized geometry", "e_above_lowest_polymorph_ev_per_atom": 0.029, "mass_density_g_cm3": 2.655, "total_energy_ev_per_fu": -74.59, "magnetic_moment_mub_per_fu": 0.00, "lattice": [[6.392, -0.643, 0.174], [0.606, 4.308, -6.657], [2.895, 7.652, 5.221]], "species": ["Li", "Li", "Li", "Li", "Li", "Li", "Li", "Li", "Co", "Co", "Co", "Co", "C", "C", "C", "C", "C", "C", "C", "C", "O", "O", "O", "O", "O", "O", "O", "O", "O", "O", "O", "O", "O", "O", "O", "O", "O", "O", "O", "O", "O", "O", "O", "O"], "frac_coords": [[0.583, 0.078, 0.180], [0.083, 0.079, 0.681], [0.833, 0.420, 0.430], [0.333, 0.420, 0.930], [0.031, 0.927, 0.375], [0.530, 0.928, 0.874], [0.779, 0.570, 0.123], [0.280, 0.570, 0.624], [0.764, 0.498, 0.754], [0.014, 0.001, 0.005], [0.263, 0.498, 0.254], [0.514, 0.000, 0.504], [0.510, 0.740, 0.362], [0.011, 0.742, 0.861], [0.260, 0.757, 0.112], [0.760, 0.757, 0.612], [0.241, 0.233, 0.396], [0.742, 0.233, 0.897], [0.991, 0.266, 0.147], [0.492, 0.265, 0.647], [0.404, 0.745, 0.493], [0.904, 0.746, 0.993], [0.153, 0.753, 0.243], [0.653, 0.753, 0.743], [0.590, 0.882, 0.306], [0.090, 0.883, 0.806], [0.340, 0.616, 0.055], [0.840, 0.616, 0.555], [0.214, 0.091, 0.466], [0.713, 0.091, 0.966], [0.962, 0.408, 0.216], [0.463, 0.407, 0.716], [0.541, 0.601, 0.291], [0.042, 0.602, 0.790], [0.292, 0.897, 0.041], [0.792, 0.897, 0.541], [0.148, 0.370, 0.452], [0.650, 0.371, 0.953], [0.899, 0.127, 0.203], [0.401, 0.127, 0.703], [0.358, 0.241, 0.268], [0.858, 0.241, 0.769], [0.108, 0.258, 0.019], [0.608, 0.258, 0.519]]}

---

{"formula": "Li3Co2C4O12", "functional": "GGA+U", "state": "optimized geometry", "e_above_lowest_polymorph_ev_per_atom": 0.003, "mass_density_g_cm3": 2.489, "total_energy_ev_per_fu": -143.62, "magnetic_moment_mub_per_fu": 1.00, "lattice": [[-1.877, -2.069, -4.663], [1.014, 6.299, -0.087], [6.683, -1.959, -4.685]], "species": ["Li", "Li", "Li", "Co", "Co", "C", "C", "C", "C", "O", "O", "O", "O", "O", "O", "O", "O", "O", "O", "O", "O"], "frac_coords": [[0.473, 0.951, 0.310], [0.838, 0.051, 0.678], [0.749, 0.525, 0.849], [0.340, 0.506, 0.494], [0.130, 0.995, 0.003], [0.670, 0.608, 0.211], [0.081, 0.123, 0.298], [0.263, 0.882, 0.697], [0.271, 0.395, 0.789], [0.842, 0.656, 0.064], [0.426, 0.620, 0.249], [0.877, 0.082, 0.237], [0.294, 0.082, 0.208], [0.075, 0.199, 0.450], [0.725, 0.548, 0.336], [0.338, 0.817, 0.545], [0.048, 0.384, 0.751], [0.431, 0.943, 0.791], [0.508, 0.475, 0.671], [0.016, 0.885, 0.760], [0.270, 0.332, 0.929]]}

---

{"formula": "Li3Co2C4O12", "functional": "GGA+U", "state": "optimized geometry", "e_above_lowest_polymorph_ev_per_atom": 0.000, "mass_density_g_cm3": 2.496, "total_energy_ev_per_fu": -143.68, "magnetic_moment_mub_per_fu": 0.95, "lattice": [[-1.860, -2.063, -4.649], [0.985, 6.270, -0.074], [15.330, -1.932, -4.739]], "species": ["Li", "Li", "Li", "Li", "Li", "Li", "Co", "Co", "Co", "Co", "C", "C", "C", "C", "C", "C", "C", "C", "O", "O", "O", "O", "O", "O", "O", "O", "O", "O", "O", "O", "O", "O", "O", "O", "O", "O", "O", "O", "O", "O", "O", "O"], "frac_coords": [[0.626, 0.953, 0.155], [0.134, 0.958, 0.658], [0.175, 0.052, 0.337], [0.678, 0.050, 0.838], [0.169, 0.528, 0.422], [0.664, 0.521, 0.929], [0.636, 0.003, 0.501], [0.125, 0.516, 0.739], [0.135, 0.994, 0.001], [0.586, 0.507, 0.247], [0.776, 0.611, 0.107], [0.282, 0.611, 0.603], [0.227, 0.125, 0.148], [0.742, 0.123, 0.650], [0.611, 0.885, 0.349], [0.114, 0.873, 0.849], [0.662, 0.397, 0.394], [0.138, 0.383, 0.897], [0.873, 0.658, 0.034], [0.364, 0.661, 0.529], [0.547, 0.619, 0.126], [0.051, 0.608, 0.627], [0.994, 0.087, 0.118], [0.503, 0.081, 0.621], [0.398, 0.085, 0.104], [0.906, 0.085, 0.601], [0.297, 0.200, 0.225], [0.822, 0.198, 0.725], [0.896, 0.554, 0.169], [0.416, 0.562, 0.663], [0.611, 0.819, 0.273], [0.121, 0.815, 0.772], [0.420, 0.387, 0.375], [0.894, 0.365, 0.889], [0.826, 0.946, 0.395], [0.325, 0.931, 0.897], [0.840, 0.472, 0.335], [0.300, 0.456, 0.833], [0.395, 0.888, 0.379], [0.895, 0.877, 0.879], [0.731, 0.339, 0.464], [0.246, 0.335, 0.963]]}